No. 1
Entry from the Materials Project: a relaxed MgFeCo2O6 crystal (PBE+U).

The formation enthalpy at 0 K comes out at -1.4692 eV/atom. For the energy with MP2020 corrections, the calculation gives -6.87 eV per atom.

Unit cell a=6.7340 b=3.1080 c=6.2438 alpha=90.01 beta=108.12 gamma=76.61
Last column: nearest neighbours and their distance in Å.
Atoms (fractional coordinates):
O (0.7094, 0.1457, 0.9268)  3 Co 1.85-1.97
Mg (0.8569, 0.5703, 0.4212)  4 O 1.94-2.06
Fe (0.3514, 0.3240, 0.3239)  6 O 1.97-2.09
Co (0.0051, 0.9973, 0.9930)  2 O 1.78-1.85
O (0.0267, 0.4871, 0.2170)  1 Mg 1.94, 1 Fe 2.02, 2 Co 2.06-2.07
O (0.2913, 0.8542, 0.0879)  1 Co 1.78
O (0.6694, 0.1646, 0.4356)  1 Fe 1.97, 2 Mg 2.00
Co (0.6422, 0.6793, 0.7210)  4 O 1.82-1.98
O (0.9557, 0.5214, 0.7686)  3 Co 1.98-2.05, 1 Mg 2.06
O (0.3620, 0.8188, 0.5424)  1 Co 1.82

---

No. 2
Entry from the Materials Project: a relaxed MgFe4Co2O8 crystal (PBE+U).

The formation enthalpy at 0 K comes out at -1.4918 eV/atom. For the energy with MP2020 corrections, the calculation gives -7.44 eV per atom.

Unit cell a=6.1519 b=6.6393 c=6.1519 alpha=57.01 beta=58.90 gamma=57.01
Last column: nearest neighbours and their distance in Å.
Atoms (fractional coordinates):
Fe (0.5331, 0.6932, 0.0827)  5 O 2.03-2.22
O (0.9455, 0.2927, 0.4590)  1 Mg 1.99, 2 Co 2.12-2.19, 1 Fe 2.15
Co (0.6271, 0.1587, 0.6271)  4 O 2.01-2.12
O (0.3930, 0.8061, 0.3930)  3 Fe 1.99-2.03, 1 Co 2.00
O (0.8702, 0.8278, 0.8702)  3 Fe 2.02-2.18, 1 Mg 2.03, 1 Co 2.11
O (0.8701, 0.4229, 0.8701)  3 Fe 2.01-2.22, 1 Mg 2.04, 1 Co 2.06
Co (0.6309, 0.5924, 0.6309)  4 O 2.00-2.19
Fe (0.9198, 0.0759, 0.9198)  4 O 2.01-2.02
Fe (0.0827, 0.6932, 0.5331)  5 O 2.03-2.22
O (0.4590, 0.2927, 0.9455)  1 Mg 1.99, 2 Co 2.12-2.19, 1 Fe 2.15
Fe (0.3807, 0.1178, 0.3807)  6 O 1.98-2.15
O (0.3310, 0.9333, 0.7936)  3 Fe 2.02-2.07
Mg (0.0529, 0.4421, 0.0529)  4 O 1.99-2.04
O (0.7936, 0.9333, 0.3310)  3 Fe 2.02-2.07
O (0.3863, 0.4106, 0.3863)  3 Fe 1.98-2.03, 1 Co 2.01

---

No. 3
Entry from the Materials Project: a relaxed MgFe4Co2O8 crystal (PBE+U).

The formation enthalpy at 0 K comes out at -1.5108 eV/atom. For the energy with MP2020 corrections, the calculation gives -7.46 eV per atom.

Unit cell a=6.2659 b=6.0045 c=5.9705 alpha=59.81 beta=64.03 gamma=61.37
Last column: nearest neighbours and their distance in Å.
Atoms (fractional coordinates):
O (0.8743, 0.3724, 0.9029)  3 Fe 2.11-2.23, 1 Mg 2.20, 1 Co 2.23
O (0.8730, 0.8655, 0.3961)  2 Fe 2.02-2.04, 2 Co 2.16, 1 Mg 2.19
O (0.3770, 0.3845, 0.8539)  2 Fe 2.02-2.04, 2 Co 2.16, 1 Mg 2.19
Fe (0.6250, 0.6250, 0.1250)  6 O 1.97-2.11
Fe (0.1050, 0.9363, 0.0225)  2 O 1.90-2.02
O (0.4508, 0.8567, 0.8358)  2 Fe 1.90-1.97, 2 Co 1.95
Co (0.6250, 0.1250, 0.6250)  4 O 1.95-2.16
Fe (0.1250, 0.6250, 0.6250)  6 O 2.04-2.23
Co (0.6250, 0.6250, 0.6250)  4 O 1.95-2.16
O (0.7992, 0.3933, 0.4142)  2 Fe 1.90-1.97, 2 Co 1.95
O (0.8743, 0.8504, 0.9029)  3 Fe 2.11-2.23, 1 Mg 2.20, 1 Co 2.23
Mg (0.6250, 0.1250, 0.1250)  6 O 2.19-2.20
O (0.3757, 0.8776, 0.3471)  3 Fe 2.11-2.23, 1 Mg 2.20, 1 Co 2.23
Fe (0.1450, 0.3137, 0.2275)  2 O 1.90-2.02
O (0.3757, 0.3996, 0.3471)  3 Fe 2.11-2.23, 1 Mg 2.20, 1 Co 2.23